Entry 1:
The following is a DFT calculation (PBE+U) of an optimized crystal structure of ScCuW2O8.

Computed properties:
size of the total moment	0.0000	μB per atom
volume	11.92	A^3/atom
E	-7.470	eV/atom

Unit cell a=7.5692 b=7.5692 c=5.0855 alpha=90.64 beta=90.64 gamma=100.81
Last column: nearest neighbours and their distance in Å.
Sites, in units of the cell vectors:
Sc1 0.1689 0.8311 0.7500  6 O 2.11-2.16
Sc2 0.8311 0.1689 0.2500  6 O 2.11-2.16
Cu1 0.3327 0.6673 0.2500  6 O 2.16-2.27
Cu2 0.6673 0.3327 0.7500  6 O 2.16-2.27
W1 0.1691 0.3388 0.7491  4 O 1.84-1.99
W2 0.3388 0.1691 0.2491  4 O 1.84-1.99
W3 0.6612 0.8309 0.7509  4 O 1.84-1.99
W4 0.8309 0.6612 0.2509  4 O 1.84-1.99
O1 0.0586 0.6964 0.4044  1 W 1.86
O2 0.0844 0.1978 0.0653  2 W 1.99-2.18, 1 Sc 2.12
O3 0.1886 0.5668 0.8887  1 W 1.84
O4 0.1978 0.0844 0.5653  2 W 1.99-2.18, 1 Sc 2.12
O5 0.3032 0.4071 0.4315  2 W 1.94-2.08, 1 Cu 2.16
O6 0.3036 0.9414 0.0956  1 W 1.86
O7 0.4071 0.3032 0.9315  2 W 1.94-2.08, 1 Cu 2.16
O8 0.4332 0.8114 0.6113  1 W 1.84
O9 0.5668 0.1886 0.3887  1 W 1.84
O10 0.5929 0.6968 0.0685  2 W 1.94-2.08, 1 Cu 2.16
O11 0.6964 0.0586 0.9044  1 W 1.86
O12 0.6968 0.5929 0.5685  2 W 1.94-2.08, 1 Cu 2.16
O13 0.8022 0.9156 0.4347  2 W 1.99-2.18, 1 Sc 2.12
O14 0.8114 0.4332 0.1113  1 W 1.84
O15 0.9156 0.8022 0.9347  2 W 1.99-2.18, 1 Sc 2.12
O16 0.9414 0.3036 0.5956  1 W 1.86

=====

Entry 2:
The following is a DFT calculation (PBE+U) of an optimized crystal structure of VCuSe2O7.

Computed properties:
size of the total moment	0.1819	μB per atom
volume	14.43	A^3/atom
E	-5.883	eV/atom

Unit cell a=8.2867 b=8.9899 c=8.6565 alpha=90.00 beta=100.10 gamma=90.00
Last column: nearest neighbours and their distance in Å.
Sites, in units of the cell vectors:
V1 0.1936 0.0074 0.4462  1 O 1.65
V2 0.1936 0.4926 0.9462  1 O 1.65
V3 0.8064 0.5074 0.0538  1 O 1.65
V4 0.8064 0.9926 0.5538  1 O 1.65
Cu1 0.1297 0.6190 0.4866  4 O 1.96-2.01
Cu2 0.1297 0.8810 0.9866  4 O 1.96-2.01
Cu3 0.8703 0.1190 0.0134  4 O 1.96-2.01
Cu4 0.8703 0.3810 0.5134  4 O 1.96-2.01
Se1 0.1712 0.1697 0.7822  3 O 1.71-1.76
Se2 0.1712 0.3303 0.2822  3 O 1.71-1.76
Se3 0.3676 0.7318 0.2476  3 O 1.71-1.79
Se4 0.3676 0.7682 0.7476  3 O 1.71-1.79
Se5 0.6324 0.2318 0.2524  3 O 1.71-1.79
Se6 0.6324 0.2682 0.7524  3 O 1.71-1.79
Se7 0.8288 0.6697 0.7178  3 O 1.71-1.76
Se8 0.8288 0.8303 0.2178  3 O 1.71-1.76
O1 0.0548 0.0932 0.6110  1 Se 1.76
O2 0.0548 0.4068 0.1110  1 Se 1.76
O3 0.0796 0.0916 0.9324  1 Se 1.76
O4 0.0796 0.4084 0.4324  1 Se 1.76
O5 0.0878 0.1557 0.2762  1 Se 1.71
O6 0.0878 0.3443 0.7762  1 Se 1.71
O7 0.2230 0.6864 0.0758  1 Se 1.79
O8 0.2230 0.8136 0.5758  1 Se 1.79
O9 0.2708 0.6016 0.7706  1 Se 1.73
O10 0.2708 0.8984 0.2706  1 Se 1.73
O11 0.3202 0.6068 0.3816  1 Se 1.71
O12 0.3202 0.8932 0.8816  1 Se 1.71
O13 0.3547 0.1077 0.5229  1 V 1.65
O14 0.3547 0.3923 0.0229  1 V 1.65
O15 0.6453 0.6077 0.9771  1 V 1.65
O16 0.6453 0.8923 0.4771  1 V 1.65
O17 0.6798 0.1068 0.1184  1 Se 1.71
O18 0.6798 0.3932 0.6184  1 Se 1.71
O19 0.7292 0.1016 0.7294  1 Se 1.73
O20 0.7292 0.3984 0.2294  1 Se 1.73
O21 0.7770 0.1864 0.4242  1 Se 1.79
O22 0.7770 0.3136 0.9242  1 Se 1.79
O23 0.9122 0.6557 0.2238  1 Se 1.71
O24 0.9122 0.8443 0.7238  1 Se 1.71
O25 0.9204 0.5916 0.5676  1 Se 1.76
O26 0.9204 0.9084 0.0676  1 Se 1.76
O27 0.9452 0.5932 0.8890  1 Se 1.76
O28 0.9452 0.9068 0.3890  1 Se 1.76

=====

Entry 3:
The following is a DFT calculation (PBE+U) of an optimized crystal structure of Sm4V20Cu15O60.

Computed properties:
size of the total moment	0.0707	μB per atom
volume	10.27	A^3/atom
E	-7.026	eV/atom

Unit cell a=12.2811 b=12.2811 c=12.2811 alpha=50.53 beta=50.53 gamma=50.53
Last column: nearest neighbours and their distance in Å.
Sites, in units of the cell vectors:
Sm1 0.1008 0.1008 0.1008  12 O 2.56-2.58
Sm2 0.3009 0.3009 0.3009  12 O 2.55-2.59
Sm3 0.6991 0.6991 0.6991  12 O 2.55-2.59
Sm4 0.8992 0.8992 0.8992  12 O 2.56-2.58
V1 0.0000 0.0000 0.0000  6 O 1.98
V2 0.0000 0.5000 0.5000  6 O 1.93-1.98
V3 0.0975 0.6022 0.0992  6 O 1.90-2.01
V4 0.0992 0.0975 0.6022  6 O 1.90-2.01
V5 0.1999 0.1999 0.1999  6 O 1.92-1.93
V6 0.2126 0.6909 0.6942  5 O 1.83-2.05
V7 0.3058 0.7874 0.3091  5 O 1.83-2.05
V8 0.3091 0.3058 0.7874  5 O 1.83-2.05
V9 0.3978 0.9008 0.9025  6 O 1.90-2.01
V10 0.4024 0.4024 0.4024  6 O 1.98-2.04
V11 0.5000 0.0000 0.5000  6 O 1.93-1.98
V12 0.5000 0.5000 0.0000  6 O 1.93-1.98
V13 0.5976 0.5976 0.5976  6 O 1.98-2.04
V14 0.6022 0.0992 0.0975  6 O 1.90-2.01
V15 0.6909 0.6942 0.2126  5 O 1.83-2.05
V16 0.6942 0.2126 0.6909  5 O 1.83-2.05
V17 0.7874 0.3091 0.3058  5 O 1.83-2.05
V18 0.8001 0.8001 0.8001  6 O 1.92-1.93
V19 0.9008 0.9025 0.3978  6 O 1.90-2.01
V20 0.9025 0.3978 0.9008  6 O 1.90-2.01
Cu1 0.0000 0.0000 0.5000  4 O 1.95-1.99
Cu2 0.0000 0.5000 0.0000  4 O 1.95-1.99
Cu3 0.0980 0.6018 0.5997  4 O 1.96-2.00
Cu4 0.1997 0.2004 0.7006  4 O 1.98-2.01
Cu5 0.2004 0.7006 0.1997  4 O 1.98-2.01
Cu6 0.2994 0.8003 0.7996  4 O 1.98-2.01
Cu7 0.3982 0.4003 0.9020  4 O 1.96-2.00
Cu8 0.4003 0.9020 0.3982  4 O 1.96-2.00
Cu9 0.5000 0.0000 0.0000  4 O 1.95-1.99
Cu10 0.5997 0.0980 0.6018  4 O 1.96-2.00
Cu11 0.6018 0.5997 0.0980  4 O 1.96-2.00
Cu12 0.7006 0.1997 0.2004  4 O 1.98-2.01
Cu13 0.7996 0.2994 0.8003  4 O 1.98-2.01
Cu14 0.8003 0.7996 0.2994  4 O 1.98-2.01
Cu15 0.9020 0.3982 0.4003  4 O 1.96-2.00
O1 0.0078 0.1823 0.3028  2 V 1.93-2.08, 1 Cu 1.99
O2 0.0191 0.8958 0.1967  2 V 1.94-1.98, 1 Cu 1.98
O3 0.0301 0.3208 0.5005  2 V 1.96-1.98, 1 Cu 1.99
O4 0.0754 0.8996 0.3765  1 Cu 1.95, 2 V 1.97-2.03
O5 0.0994 0.3907 0.2175  2 V 1.92-2.01, 1 Cu 2.00
O6 0.0992 0.5754 0.2748  2 V 1.97-1.98, 1 Cu 1.98
O7 0.1004 0.6235 0.9246  1 Cu 1.95, 2 V 1.97-2.03
O8 0.1042 0.8033 0.9809  2 V 1.94-1.98, 1 Cu 1.98
O9 0.1199 0.3038 0.8289  2 V 1.90-2.05, 1 Cu 2.01
O10 0.1711 0.8801 0.6962  2 V 1.90-2.05, 1 Cu 2.01
O11 0.1823 0.3028 0.0078  2 V 1.93-2.08, 1 Cu 1.99
O12 0.1967 0.0191 0.8958  2 V 1.94-1.98, 1 Cu 1.98
O13 0.2007 0.3840 0.5046  2 V 1.93-2.04, 1 Cu 1.99
O14 0.2144 0.5238 0.7092  2 V 1.91-1.93, 1 Cu 1.96
O15 0.2175 0.0994 0.3907  2 V 1.92-2.01, 1 Cu 2.00
O16 0.2748 0.0992 0.5754  2 V 1.97-1.98, 1 Cu 1.98
O17 0.2875 0.6040 0.4154  2 V 1.83-1.98, 1 Cu 1.96
O18 0.2908 0.7856 0.4762  2 V 1.91-1.93, 1 Cu 1.96
O19 0.3028 0.0078 0.1823  2 V 1.93-2.08, 1 Cu 1.99
O20 0.3038 0.8289 0.1199  2 V 1.90-2.05, 1 Cu 2.01
O21 0.3208 0.5005 0.0301  2 V 1.96-1.98, 1 Cu 1.99
O22 0.3765 0.0754 0.8996  1 Cu 1.95, 2 V 1.97-2.03
O23 0.3840 0.5046 0.2007  2 V 1.93-2.04, 1 Cu 1.99
O24 0.3907 0.2175 0.0994  2 V 1.92-2.01, 1 Cu 2.00
O25 0.3960 0.5846 0.7125  2 V 1.83-1.98, 1 Cu 1.96
O26 0.4154 0.2875 0.6040  2 V 1.83-1.98, 1 Cu 1.96
O27 0.4246 0.7252 0.9008  2 V 1.97-1.98, 1 Cu 1.98
O28 0.4762 0.2908 0.7856  2 V 1.91-1.93, 1 Cu 1.96
O29 0.4954 0.7993 0.6160  2 V 1.93-2.04, 1 Cu 1.99
O30 0.4995 0.9699 0.6792  2 V 1.96-1.98, 1 Cu 1.99
O31 0.5005 0.0301 0.3208  2 V 1.96-1.98, 1 Cu 1.99
O32 0.5046 0.2007 0.3840  2 V 1.93-2.04, 1 Cu 1.99
O33 0.5238 0.7092 0.2144  2 V 1.91-1.93, 1 Cu 1.96
O34 0.5754 0.2748 0.0992  2 V 1.97-1.98, 1 Cu 1.98
O35 0.5846 0.7125 0.3960  2 V 1.83-1.98, 1 Cu 1.96
O36 0.6040 0.4154 0.2875  2 V 1.83-1.98, 1 Cu 1.96
O37 0.6093 0.7825 0.9006  2 V 1.92-2.01, 1 Cu 2.00
O38 0.6160 0.4954 0.7993  2 V 1.93-2.04, 1 Cu 1.99
O39 0.6235 0.9246 0.1004  1 Cu 1.95, 2 V 1.97-2.03
O40 0.6792 0.4995 0.9699  2 V 1.96-1.98, 1 Cu 1.99
O41 0.6962 0.1711 0.8801  2 V 1.90-2.05, 1 Cu 2.01
O42 0.6972 0.9922 0.8177  2 V 1.93-2.08, 1 Cu 1.99
O43 0.7092 0.2144 0.5238  2 V 1.91-1.93, 1 Cu 1.96
O44 0.7125 0.3960 0.5846  2 V 1.83-1.98, 1 Cu 1.96
O45 0.7252 0.9008 0.4246  2 V 1.97-1.98, 1 Cu 1.98
O46 0.7825 0.9006 0.6093  2 V 1.92-2.01, 1 Cu 2.00
O47 0.7856 0.4762 0.2908  2 V 1.91-1.93, 1 Cu 1.96
O48 0.7993 0.6160 0.4954  2 V 1.93-2.04, 1 Cu 1.99
O49 0.8033 0.9809 0.1042  2 V 1.94-1.98, 1 Cu 1.98
O50 0.8177 0.6972 0.9922  2 V 1.93-2.08, 1 Cu 1.99
O51 0.8289 0.1199 0.3038  2 V 1.90-2.05, 1 Cu 2.01
O52 0.8801 0.6962 0.1711  2 V 1.90-2.05, 1 Cu 2.01
O53 0.8958 0.1967 0.0191  2 V 1.94-1.98, 1 Cu 1.98
O54 0.8996 0.3765 0.0754  1 Cu 1.95, 2 V 1.97-2.03
O55 0.9008 0.4246 0.7252  2 V 1.97-1.98, 1 Cu 1.98
O56 0.9006 0.6093 0.7825  2 V 1.92-2.01, 1 Cu 2.00
O57 0.9246 0.1004 0.6235  1 Cu 1.95, 2 V 1.97-2.03
O58 0.9699 0.6792 0.4995  2 V 1.96-1.98, 1 Cu 1.99
O59 0.9809 0.1042 0.8033  2 V 1.94-1.98, 1 Cu 1.98
O60 0.9922 0.8177 0.6972  2 V 1.93-2.08, 1 Cu 1.99

=====

Entry 4:
The following is a DFT calculation (PBE+U) of an optimized crystal structure of Sr2YVCu2O7.

Computed properties:
size of the total moment	0.1034	μB per atom
volume	14.57	A^3/atom
E	-6.750	eV/atom

Unit cell a=12.6374 b=12.6374 c=12.6374 alpha=36.66 beta=154.13 gamma=154.47
Last column: nearest neighbours and their distance in Å.
Sites, in units of the cell vectors:
Sr1 0.0202 0.1438 0.1640  7 O 2.66-2.85
Sr2 0.0202 0.3562 0.3763  7 O 2.66-2.85
Sr3 0.9798 0.6438 0.6237  7 O 2.66-2.85
Sr4 0.9798 0.8562 0.8360  7 O 2.66-2.85
Y1 0.9957 0.4957 0.5000  8 O 2.46-2.54
Y2 0.9957 0.9957 0.0000  8 O 2.46-2.54
V1 0.4660 0.7926 0.1734  4 O 1.80-1.95
V2 0.6192 0.2926 0.8266  4 O 1.80-1.95
Cu1 0.4960 0.5631 0.0651  4 O 1.98-2.00
Cu2 0.4960 0.9309 0.4328  4 O 1.98-2.00
Cu3 0.4980 0.0631 0.5672  4 O 1.98-2.00
Cu4 0.4980 0.4309 0.9349  4 O 1.98-2.00
O1 0.0104 0.6385 0.8719  2 V 1.91-1.95
O2 0.4349 0.1560 0.6424  1 V 1.80
O3 0.4349 0.2924 0.7788  1 V 1.80
O4 0.4883 0.1787 0.1811  2 Cu 1.98-1.99
O5 0.4883 0.8072 0.8096  2 Cu 1.98-1.99
O6 0.5060 0.3149 0.3172  2 Cu 1.99-2.00
O7 0.5060 0.6889 0.6912  2 Cu 1.99-2.00
O8 0.5136 0.6560 0.2212  1 V 1.80
O9 0.5136 0.7924 0.3576  1 V 1.80
O10 0.7665 0.1385 0.1281  2 V 1.91-1.95
O11 0.9977 0.1889 0.6828  2 Cu 1.99-2.00
O12 0.9976 0.3072 0.8189  2 Cu 1.98-1.99
O13 0.9976 0.6787 0.1904  2 Cu 1.98-1.99
O14 0.9977 0.8149 0.3088  2 Cu 1.99-2.00

=====

Entry 5:
The following is a DFT calculation (PBE+U) of an optimized crystal structure of Sr2CuWO6.

Computed properties:
relative energy among the computed polymorphs	32	meV/atom
size of the total moment	0.0030	μB per atom
volume	12.91	A^3/atom

Unit cell a=5.6737 b=5.6737 c=5.6737 alpha=60.00 beta=60.00 gamma=60.00
Last column: nearest neighbours and their distance in Å.
Sites, in units of the cell vectors:
Sr1 0.2500 0.2500 0.2500  12 O 2.84
Sr2 0.7500 0.7500 0.7500  12 O 2.84
Cu1 0.0000 0.0000 0.0000  6 O 2.07
W1 0.5000 0.5000 0.5000  6 O 1.95
O1 0.2575 0.2575 0.7425  1 W 1.95, 1 Cu 2.07
O2 0.2575 0.7425 0.2575  1 W 1.95, 1 Cu 2.07
O3 0.2575 0.7425 0.7425  1 W 1.95, 1 Cu 2.07
O4 0.7425 0.2575 0.2575  1 W 1.95, 1 Cu 2.07
O5 0.7425 0.2575 0.7425  1 W 1.95, 1 Cu 2.07
O6 0.7425 0.7425 0.2575  1 W 1.95, 1 Cu 2.07

=====

Entry 6:
The following is a DFT calculation (PBE+U) of an optimized crystal structure of Sr8CuW3O18.

Computed properties:
size of the total moment	0.0334	μB per atom
volume	15.15	A^3/atom
E	-6.783	eV/atom

Unit cell a=5.9601 b=10.4170 c=15.8145 alpha=109.17 beta=100.79 gamma=90.02
Last column: nearest neighbours and their distance in Å.
Sites, in units of the cell vectors:
Sr1 0.0000 0.0000 0.0000  6 O 2.50-2.67
Sr2 0.0353 0.3969 0.0884  6 O 2.40-2.53
Sr3 0.0713 0.7482 0.1671  5 O 2.46-2.72
Sr4 0.1597 0.5103 0.3467  5 O 2.47-2.62
Sr5 0.2087 0.9091 0.4277  6 O 2.41-2.52
Sr6 0.2504 0.3124 0.5205  6 O 2.53-2.80
Sr7 0.3179 0.9991 0.6672  6 O 2.43-2.70
Sr8 0.4093 0.7173 0.8269  6 O 2.51-2.59
Sr9 0.4918 0.5065 0.9932  6 O 2.45-2.68
Sr10 0.5395 0.9137 0.0923  6 O 2.40-2.52
Sr11 0.5805 0.3135 0.1931  4 O 2.50-2.67
Sr12 0.6667 0.0060 0.3395  6 O 2.51-2.69
Sr13 0.7404 0.7044 0.4924  6 O 2.51-2.59
Sr14 0.8307 0.5175 0.6728  6 O 2.53-2.65
Sr15 0.8704 0.9138 0.7608  6 O 2.41-2.51
Sr16 0.9172 0.3034 0.8342  3 O 2.46-2.51
Cu1 0.3617 0.3361 0.7423  3 O 1.91-1.96
Cu2 0.6916 0.3356 0.4148  3 O 1.95-1.97
W1 0.1208 0.1644 0.2648  6 O 1.90-2.07
W2 0.2916 0.6569 0.5933  6 O 1.93-2.00
W3 0.4636 0.1636 0.9251  5 O 1.90-1.98
W4 0.6195 0.6645 0.2596  6 O 1.94-1.98
W5 0.7858 0.1680 0.5951  6 O 1.89-2.07
W6 0.9589 0.6607 0.9256  6 O 1.92-1.99
O1 0.0040 0.2980 0.2064  1 W 1.97
O2 0.0081 0.5423 0.5446  1 W 1.94
O3 0.0706 0.3034 0.6545  1 Cu 1.96, 1 W 2.07
O4 0.0817 0.5562 0.0047  1 W 1.96
O5 0.0938 0.5492 0.8270  1 W 1.92
O6 0.1584 0.7747 0.5221  1 W 2.00
O7 0.1593 0.0755 0.8876  1 W 1.93
O8 0.1713 0.7792 0.6973  1 W 1.98
O9 0.2404 0.7856 0.9683  1 W 1.99
O10 0.2570 0.0756 0.1620  1 W 1.91
O11 0.2575 0.0618 0.3393  1 W 1.91
O12 0.3278 0.5547 0.2168  1 W 1.96
O13 0.3358 0.2937 0.8491  1 Cu 1.91
O14 0.3670 0.2980 0.0314  1 W 1.98
O15 0.4077 0.2982 0.3230  1 Cu 1.96, 1 W 2.07
O16 0.4086 0.5489 0.6680  1 W 1.93
O17 0.4255 0.5422 0.4935  1 W 1.95
O18 0.4897 0.7907 0.1963  1 W 1.98
O19 0.4975 0.0700 0.5523  1 W 1.89
O20 0.5189 0.7833 0.3694  1 W 1.97
O21 0.5628 0.0528 0.8175  1 W 1.92
O22 0.5721 0.7801 0.6339  1 W 1.98
O23 0.5935 0.0603 0.9987  1 W 1.90
O24 0.6386 0.3035 0.6937  1 Cu 1.93, 1 W 2.06
O25 0.6769 0.5492 0.8780  1 W 1.92
O26 0.6892 0.3003 0.5282  1 Cu 1.95, 1 W 2.02
O27 0.7390 0.2868 0.9585  1 W 1.96
O28 0.7403 0.5460 0.3274  1 W 1.94
O29 0.7439 0.5569 0.1540  1 W 1.96
O30 0.8305 0.7807 0.8570  1 W 1.98
O31 0.8438 0.0531 0.2192  1 W 1.90
O32 0.8437 0.7857 0.0315  1 W 1.99
O33 0.9034 0.7851 0.3031  1 W 1.98
O34 0.9102 0.0769 0.6776  1 W 1.90
O35 0.9264 0.0698 0.4980  1 W 1.89
O36 0.9780 0.2829 0.3715  1 Cu 1.97, 1 W 2.06